VASP calculation (PBE with a Hubbard U) on UMnO4 after structural relaxation.

```
UMnO4
1.0
-4.491 0.093 3.900
-1.690 -2.490 -5.131
4.490 -3.223 2.199
U Mn O
2 2 8
Cartesian
0.700 -1.483 -0.627
-2.392 -4.137 1.594
-0.001 -1.565 3.050
-3.091 -1.198 -0.616
-3.130 -2.100 1.335
1.438 -3.520 -0.367
0.038 -2.625 4.919
-1.729 -2.996 -3.952
-1.114 -2.192 -0.976
1.977 -2.437 2.453
-0.578 -3.428 1.944
-3.668 -3.183 -1.485
```

Summary:
E_form, eV/atom: -2.658
E (MP2020), eV per atom: -9.3654